1.
{"formula": "Al2Ga2Bi2O9", "functional": "PBE-GGA", "state": "relaxed", "ef_ev_per_atom": -2.47, "space_group": "Pbam, No. 55", "total_energy_ev_per_atom": -6.447, "vol_a3_per_atom": 12.9, "e_above_lowest_polymorph_ev_per_fu": 0.00, "lattice": [[-4.637, 3.373, 1.142], [-0.897, 1.396, -7.769], [-4.975, -6.630, -0.617]], "species": ["Al", "Al", "Al", "Al", "Ga", "Ga", "Ga", "Ga", "Bi", "Bi", "Bi", "Bi", "O", "O", "O", "O", "O", "O", "O", "O", "O", "O", "O", "O", "O", "O", "O", "O", "O", "O"], "frac_coords": [[0.242, 0.000, 0.500], [0.758, 0.000, 0.500], [0.758, 0.500, 0.000], [0.242, 0.500, 0.000], [0.000, 0.153, 0.164], [0.000, 0.847, 0.836], [0.000, 0.347, 0.664], [0.000, 0.653, 0.336], [0.500, 0.329, 0.333], [0.500, 0.671, 0.667], [0.500, 0.171, 0.833], [0.500, 0.829, 0.167], [0.500, 0.359, 0.069], [0.500, 0.641, 0.931], [0.500, 0.141, 0.569], [0.500, 0.859, 0.431], [0.255, 0.127, 0.299], [0.745, 0.873, 0.701], [0.255, 0.873, 0.701], [0.745, 0.373, 0.799], [0.745, 0.127, 0.299], [0.255, 0.627, 0.201], [0.745, 0.627, 0.201], [0.255, 0.373, 0.799], [0.000, 0.371, 0.087], [0.000, 0.629, 0.913], [0.000, 0.129, 0.587], [0.000, 0.871, 0.413], [0.000, 0.000, 0.000], [0.000, 0.500, 0.500]]}


2.
{"formula": "ScU3S6", "functional": "PBE-GGA", "state": "relaxed", "ef_ev_per_atom": -1.86, "space_group": "Pnnm, No. 58", "total_energy_ev_per_atom": -8.062, "vol_a3_per_atom": 20.6, "lattice": [[-1.485, -3.452, 0.328], [7.913, -4.338, -9.811], [11.505, -3.903, 11.004]], "species": ["Sc", "Sc", "Sc", "Sc", "U", "U", "U", "U", "U", "U", "U", "U", "U", "U", "U", "U", "S", "S", "S", "S", "S", "S", "S", "S", "S", "S", "S", "S", "S", "S", "S", "S", "S", "S", "S", "S", "S", "S", "S", "S"], "frac_coords": [[0.500, 0.000, 0.000], [0.000, 0.500, 0.500], [0.500, 0.000, 0.500], [0.000, 0.500, 0.000], [0.500, 0.551, 0.283], [0.500, 0.449, 0.717], [0.000, 0.949, 0.783], [0.000, 0.051, 0.217], [0.500, 0.251, 0.901], [0.500, 0.749, 0.099], [0.000, 0.249, 0.401], [0.000, 0.751, 0.599], [0.500, 0.679, 0.849], [0.500, 0.321, 0.151], [0.000, 0.821, 0.349], [0.000, 0.179, 0.651], [0.500, 0.593, 0.579], [0.500, 0.407, 0.421], [0.000, 0.907, 0.079], [0.000, 0.093, 0.921], [0.500, 0.874, 0.891], [0.500, 0.126, 0.109], [0.000, 0.626, 0.391], [0.000, 0.374, 0.609], [0.500, 0.900, 0.246], [0.500, 0.100, 0.754], [0.000, 0.600, 0.746], [0.000, 0.400, 0.254], [0.500, 0.810, 0.476], [0.500, 0.190, 0.524], [0.000, 0.690, 0.976], [0.000, 0.310, 0.024], [0.500, 0.525, 0.106], [0.500, 0.475, 0.894], [0.000, 0.975, 0.606], [0.000, 0.025, 0.394], [0.500, 0.815, 0.711], [0.500, 0.185, 0.289], [0.000, 0.685, 0.211], [0.000, 0.315, 0.789]]}


3.
{"formula": "Ca2YBiO6", "functional": "PBE-GGA", "state": "relaxed", "ef_ev_per_atom": -2.74, "space_group": "P4/mnc, No. 128", "total_energy_ev_per_atom": -6.731, "vol_a3_per_atom": 14.8, "lattice": [[5.877, 0.000, 0.000], [0.000, 5.877, 0.000], [0.000, 0.000, 8.545]], "species": ["Ca", "Ca", "Ca", "Ca", "Y", "Y", "Bi", "Bi", "O", "O", "O", "O", "O", "O", "O", "O", "O", "O", "O", "O"], "frac_coords": [[0.500, 0.000, 0.750], [0.000, 0.500, 0.750], [0.500, 0.000, 0.250], [0.000, 0.500, 0.250], [0.500, 0.500, 0.000], [0.000, 0.000, 0.500], [0.500, 0.500, 0.500], [0.000, 0.000, 0.000], [0.500, 0.500, 0.745], [0.000, 0.000, 0.755], [0.500, 0.500, 0.255], [0.000, 0.000, 0.245], [0.657, 0.173, 0.500], [0.343, 0.827, 0.500], [0.827, 0.657, 0.500], [0.173, 0.343, 0.500], [0.843, 0.673, 0.000], [0.157, 0.327, 0.000], [0.673, 0.157, 0.000], [0.327, 0.843, 0.000]]}


4.
{"formula": "KSn2Cl5", "functional": "PBE-GGA", "state": "relaxed", "ef_ev_per_atom": -1.64, "space_group": "I4/mcm, No. 140", "total_energy_ev_per_atom": -3.551, "vol_a3_per_atom": 29.5, "lattice": [[8.044, 2.302, -3.827], [5.908, -0.646, 7.024], [-6.025, -6.318, -2.903]], "species": ["K", "K", "Sn", "Sn", "Sn", "Sn", "Cl", "Cl", "Cl", "Cl", "Cl", "Cl", "Cl", "Cl", "Cl", "Cl"], "frac_coords": [[0.750, 0.750, 0.000], [0.250, 0.250, 0.000], [0.674, 0.826, 0.500], [0.174, 0.674, 0.849], [0.326, 0.174, 0.500], [0.826, 0.326, 0.151], [0.199, 0.699, 0.162], [0.463, 0.963, 0.162], [0.801, 0.301, 0.838], [0.301, 0.463, 0.500], [0.963, 0.801, 0.500], [0.699, 0.537, 0.500], [0.500, 0.500, 0.000], [0.000, 0.000, 0.000], [0.537, 0.037, 0.838], [0.037, 0.199, 0.500]]}


5.
{"formula": "LiPr6B3O14", "functional": "PBE-GGA", "state": "relaxed", "ef_ev_per_atom": -3.47, "space_group": "P2_1/c, No. 14", "total_energy_ev_per_atom": -8.065, "vol_a3_per_atom": 13.9, "lattice": [[-6.818, 1.153, -5.431], [-0.049, 8.964, 2.611], [10.224, 3.573, -12.076]], "species": ["Li", "Li", "Li", "Li", "Pr", "Pr", "Pr", "Pr", "Pr", "Pr", "Pr", "Pr", "Pr", "Pr", "Pr", "Pr", "Pr", "Pr", "Pr", "Pr", "Pr", "Pr", "Pr", "Pr", "Pr", "Pr", "Pr", "Pr", "B", "B", "B", "B", "B", "B", "B", "B", "B", "B", "B", "B", "O", "O", "O", "O", "O", "O", "O", "O", "O", "O", "O", "O", "O", "O", "O", "O", "O", "O", "O", "O", "O", "O", "O", "O", "O", "O", "O", "O", "O", "O", "O", "O", "O", "O", "O", "O", "O", "O", "O", "O", "O", "O", "O", "O", "O", "O", "O", "O", "O", "O", "O", "O", "O", "O", "O", "O"], "frac_coords": [[0.678, 0.560, 0.396], [0.322, 0.440, 0.604], [0.822, 0.940, 0.896], [0.178, 0.060, 0.104], [0.140, 0.695, 0.178], [0.860, 0.305, 0.822], [0.360, 0.805, 0.678], [0.640, 0.195, 0.322], [0.960, 0.946, 0.675], [0.040, 0.054, 0.325], [0.540, 0.554, 0.175], [0.460, 0.446, 0.825], [0.728, 0.576, 0.643], [0.272, 0.424, 0.357], [0.772, 0.924, 0.143], [0.228, 0.076, 0.857], [0.052, 0.716, 0.485], [0.948, 0.284, 0.515], [0.448, 0.784, 0.985], [0.552, 0.216, 0.015], [0.701, 0.937, 0.495], [0.299, 0.063, 0.505], [0.799, 0.563, 0.995], [0.201, 0.437, 0.005], [0.422, 0.833, 0.334], [0.578, 0.167, 0.666], [0.078, 0.667, 0.834], [0.922, 0.333, 0.166], [0.429, 0.973, 0.173], [0.571, 0.027, 0.827], [0.071, 0.527, 0.673], [0.929, 0.473, 0.327], [0.063, 0.857, 0.001], [0.937, 0.143, 0.999], [0.437, 0.643, 0.501], [0.563, 0.357, 0.499], [0.820, 0.778, 0.307], [0.180, 0.222, 0.693], [0.680, 0.722, 0.807], [0.320, 0.278, 0.193], [0.935, 0.822, 0.250], [0.065, 0.178, 0.750], [0.565, 0.678, 0.750], [0.435, 0.322, 0.250], [0.704, 0.403, 0.533], [0.296, 0.597, 0.467], [0.796, 0.097, 0.033], [0.204, 0.903, 0.967], [0.847, 0.779, 0.579], [0.153, 0.221, 0.421], [0.653, 0.721, 0.079], [0.347, 0.279, 0.921], [0.032, 0.883, 0.083], [0.968, 0.117, 0.917], [0.468, 0.617, 0.583], [0.532, 0.383, 0.417], [0.466, 0.990, 0.090], [0.534, 0.010, 0.910], [0.034, 0.510, 0.590], [0.966, 0.490, 0.410], [0.286, 0.928, 0.202], [0.714, 0.072, 0.798], [0.214, 0.572, 0.702], [0.786, 0.428, 0.298], [0.457, 0.285, 0.550], [0.543, 0.715, 0.450], [0.043, 0.215, 0.050], [0.957, 0.785, 0.950], [0.193, 0.895, 0.402], [0.807, 0.105, 0.598], [0.307, 0.605, 0.902], [0.693, 0.395, 0.098], [0.009, 0.536, 0.089], [0.991, 0.464, 0.911], [0.491, 0.964, 0.589], [0.509, 0.036, 0.411], [0.161, 0.878, 0.586], [0.839, 0.122, 0.414], [0.339, 0.622, 0.086], [0.661, 0.378, 0.914], [0.156, 0.880, 0.767], [0.844, 0.120, 0.233], [0.344, 0.620, 0.267], [0.656, 0.380, 0.733], [0.821, 0.770, 0.776], [0.179, 0.230, 0.224], [0.679, 0.730, 0.276], [0.321, 0.270, 0.724], [0.850, 0.797, 0.390], [0.150, 0.203, 0.610], [0.650, 0.703, 0.890], [0.350, 0.297, 0.110], [0.545, 0.996, 0.231], [0.455, 0.004, 0.769], [0.955, 0.504, 0.731], [0.045, 0.496, 0.269]]}


6.
{"formula": "Er2PdPt", "functional": "PBE-GGA", "state": "relaxed", "ef_ev_per_atom": -1.11, "space_group": "Fm-3m, No. 225", "total_energy_ev_per_atom": -6.202, "vol_a3_per_atom": 20.8, "lattice": [[-0.367, -4.885, -0.103], [-2.324, -2.359, 3.611], [-4.338, -2.114, -0.849]], "species": ["Er", "Er", "Pd", "Pt"], "frac_coords": [[0.250, 0.250, 0.250], [0.750, 0.750, 0.750], [0.500, 0.500, 0.500], [0.000, 0.000, 0.000]]}


What did the sixth record say?
{"formula": "Er2PdPt", "functional": "PBE-GGA", "state": "relaxed", "ef_ev_per_atom": -1.11, "space_group": "Fm-3m, No. 225", "total_energy_ev_per_atom": -6.202, "vol_a3_per_atom": 20.8, "lattice": [[-0.367, -4.885, -0.103], [-2.324, -2.359, 3.611], [-4.338, -2.114, -0.849]], "species": ["Er", "Er", "Pd", "Pt"], "frac_coords": [[0.250, 0.250, 0.250], [0.750, 0.750, 0.750], [0.500, 0.500, 0.500], [0.000, 0.000, 0.000]]}


Repeat the first record exactly.
{"formula": "Al2Ga2Bi2O9", "functional": "PBE-GGA", "state": "relaxed", "ef_ev_per_atom": -2.47, "space_group": "Pbam, No. 55", "total_energy_ev_per_atom": -6.447, "vol_a3_per_atom": 12.9, "e_above_lowest_polymorph_ev_per_fu": 0.00, "lattice": [[-4.637, 3.373, 1.142], [-0.897, 1.396, -7.769], [-4.975, -6.630, -0.617]], "species": ["Al", "Al", "Al", "Al", "Ga", "Ga", "Ga", "Ga", "Bi", "Bi", "Bi", "Bi", "O", "O", "O", "O", "O", "O", "O", "O", "O", "O", "O", "O", "O", "O", "O", "O", "O", "O"], "frac_coords": [[0.242, 0.000, 0.500], [0.758, 0.000, 0.500], [0.758, 0.500, 0.000], [0.242, 0.500, 0.000], [0.000, 0.153, 0.164], [0.000, 0.847, 0.836], [0.000, 0.347, 0.664], [0.000, 0.653, 0.336], [0.500, 0.329, 0.333], [0.500, 0.671, 0.667], [0.500, 0.171, 0.833], [0.500, 0.829, 0.167], [0.500, 0.359, 0.069], [0.500, 0.641, 0.931], [0.500, 0.141, 0.569], [0.500, 0.859, 0.431], [0.255, 0.127, 0.299], [0.745, 0.873, 0.701], [0.255, 0.873, 0.701], [0.745, 0.373, 0.799], [0.745, 0.127, 0.299], [0.255, 0.627, 0.201], [0.745, 0.627, 0.201], [0.255, 0.373, 0.799], [0.000, 0.371, 0.087], [0.000, 0.629, 0.913], [0.000, 0.129, 0.587], [0.000, 0.871, 0.413], [0.000, 0.000, 0.000], [0.000, 0.500, 0.500]]}


What is the formula in the fourth record? KSn2Cl5